Compound: TmAl2Ni
Source: the Materials Project
Functional: r²SCAN
Structure: optimized geometry

Cell lengths 5.369, 5.369, 6.818 Å; angles 90.00, 90.00, 136.10 degrees
Element x y z (fractional)
Tm: 0.062 0.938 0.750
Tm: 0.938 0.062 0.250
Al: 0.344 0.656 0.554
Al: 0.344 0.656 0.946
Al: 0.656 0.344 0.054
Al: 0.656 0.344 0.446
Ni: 0.215 0.785 0.250
Ni: 0.785 0.215 0.750

Calculated values
Total DFT energy (no corrections) = -15.84 eV/atom
Space group = Cmcm
Formation enthalpy at 0 K = -0.6960 eV per atom